i.
Li6V3P8O29 PBE with a Hubbard U optimized geometry; space-group type = P1, No. 1
1.0
9.804 0.000 0.000
4.892 8.525 0.000
0.069 0.033 13.900
Li V P O
12 6 16 58
Direct
0.000 0.000 0.000
0.000 0.445 0.500
0.093 0.680 0.432
0.184 0.363 0.880
0.320 0.769 0.881
0.419 0.449 0.002
0.422 0.583 0.500
0.432 0.011 0.554
0.434 0.010 0.057
0.761 0.344 0.323
0.863 0.004 0.500
0.867 0.590 0.002
0.093 0.246 0.691
0.096 0.111 0.194
0.529 0.241 0.194
0.529 0.676 0.691
0.661 0.681 0.194
0.662 0.110 0.693
0.005 0.452 0.284
0.008 0.994 0.784
0.184 0.903 0.598
0.185 0.358 0.098
0.321 0.365 0.598
0.325 0.768 0.098
0.411 0.587 0.284
0.415 0.444 0.784
0.426 0.013 0.814
0.428 0.011 0.314
0.759 0.345 0.566
0.762 0.346 0.068
0.779 0.907 0.098
0.784 0.765 0.597
0.863 0.593 0.784
0.869 0.992 0.285
0.004 0.153 0.761
0.010 0.426 0.780
0.012 0.015 0.278
0.089 0.452 0.374
0.091 0.436 0.009
0.091 0.898 0.515
0.098 0.463 0.191
0.099 0.924 0.875
0.105 0.882 0.695
0.176 0.931 0.097
0.177 0.339 0.600
0.202 0.050 0.609
0.207 0.192 0.113
0.278 0.017 0.270
0.278 0.167 0.776
0.301 0.464 0.696
0.307 0.680 0.191
0.314 0.464 0.515
0.326 0.670 0.374
0.340 0.432 0.875
0.341 0.674 0.009
0.349 0.344 0.097
0.354 0.759 0.600
0.422 0.865 0.776
0.426 0.014 0.922
0.426 0.596 0.782
0.428 0.011 0.421
0.433 0.422 0.278
0.435 0.155 0.270
0.470 0.201 0.608
0.470 0.789 0.112
0.572 0.861 0.270
0.573 0.014 0.767
0.576 0.300 0.765
0.576 0.571 0.271
0.606 0.491 0.604
0.611 0.053 0.112
0.615 0.341 0.110
0.618 0.782 0.609
0.712 0.583 0.760
0.720 0.159 0.272
0.757 0.498 0.111
0.761 0.341 0.458
0.761 0.760 0.098
0.762 0.932 0.597
0.763 0.192 0.607
0.763 0.347 0.961
0.840 0.595 0.279
0.844 0.019 0.781
0.850 0.672 0.877
0.865 0.920 0.013
0.870 0.911 0.377
0.878 0.887 0.195
0.882 0.669 0.514
0.882 0.685 0.695
0.906 0.351 0.604
0.914 0.199 0.111
0.988 0.303 0.271

---

ii.
Li6V3P8O29 PBE with a Hubbard U optimized geometry; space-group type = P1, No. 1
1.0
9.787 0.000 0.000
-4.857 8.506 0.000
-0.046 -0.102 13.985
Li V P O
12 6 16 58
Direct
0.000 0.000 0.000
0.000 0.135 0.510
0.007 0.578 0.456
0.102 0.336 0.122
0.240 0.904 0.122
0.298 0.222 0.579
0.379 0.267 0.060
0.433 0.002 0.509
0.440 0.576 0.000
0.567 0.569 0.510
0.577 0.139 0.002
0.663 0.332 0.631
0.334 0.671 0.810
0.339 0.800 0.317
0.773 0.237 0.817
0.773 0.672 0.313
0.900 0.798 0.814
0.903 0.236 0.313
0.001 0.568 0.696
0.007 0.573 0.195
0.022 0.144 0.724
0.023 0.006 0.220
0.113 0.325 0.907
0.116 0.929 0.407
0.247 0.457 0.406
0.251 0.925 0.906
0.421 0.547 0.221
0.425 0.012 0.723
0.561 0.549 0.722
0.562 0.149 0.222
0.644 0.460 0.906
0.652 0.327 0.407
0.668 0.903 0.936
0.674 0.904 0.436
0.005 0.156 0.224
0.006 0.716 0.740
0.008 0.576 0.089
0.014 0.425 0.233
0.076 0.315 0.406
0.083 0.900 0.907
0.106 0.005 0.130
0.108 0.219 0.634
0.113 0.236 0.996
0.125 0.035 0.487
0.134 0.238 0.815
0.136 0.023 0.308
0.147 0.564 0.739
0.153 0.726 0.237
0.233 0.608 0.397
0.253 0.771 0.895
0.256 0.491 0.907
0.259 0.900 0.409
0.321 0.434 0.308
0.336 0.033 0.814
0.337 0.463 0.130
0.340 0.018 0.995
0.342 0.451 0.488
0.349 0.024 0.632
0.417 0.702 0.236
0.419 0.572 0.726
0.421 0.981 0.228
0.431 0.860 0.735
0.522 0.749 0.894
0.524 0.908 0.395
0.536 0.444 0.987
0.545 0.240 0.314
0.546 0.434 0.808
0.556 0.225 0.131
0.561 0.462 0.631
0.568 0.234 0.495
0.588 0.576 0.227
0.594 0.157 0.729
0.659 0.049 0.895
0.665 0.905 0.042
0.670 0.492 0.409
0.670 0.753 0.393
0.672 0.900 0.542
0.679 0.322 0.908
0.713 0.705 0.736
0.720 0.151 0.239
0.795 0.620 0.899
0.817 0.345 0.393
0.822 0.911 0.898
0.824 0.051 0.396
0.848 0.422 0.733
0.861 0.572 0.245
0.864 0.858 0.235
0.869 0.151 0.736
0.958 0.327 0.895
0.964 0.767 0.400
0.990 0.975 0.732
0.998 0.566 0.588

---

i comes first in stability; the runner-up is 6 meV/atom higher.

---

i.
Li6V3P8O29 PBE with a Hubbard U optimized geometry; space-group type = P1, No. 1
1.0
9.799 0.000 0.000
4.889 8.507 0.000
0.141 0.109 14.010
Li V P O
12 6 16 58
Direct
0.000 0.000 0.000
0.001 0.424 0.496
0.080 0.245 0.878
0.422 0.434 0.001
0.431 0.007 0.546
0.436 0.564 0.500
0.443 0.995 0.046
0.681 0.644 0.377
0.716 0.351 0.936
0.788 0.278 0.438
0.859 0.563 0.995
0.869 0.985 0.501
0.202 0.893 0.189
0.205 0.331 0.686
0.332 0.764 0.688
0.334 0.328 0.196
0.766 0.896 0.696
0.768 0.770 0.187
0.075 0.109 0.598
0.087 0.239 0.098
0.096 0.665 0.568
0.103 0.660 0.068
0.430 0.997 0.806
0.433 0.993 0.307
0.452 0.417 0.783
0.454 0.557 0.284
0.547 0.637 0.098
0.553 0.242 0.600
0.676 0.650 0.597
0.678 0.116 0.100
0.852 0.552 0.782
0.854 0.016 0.283
0.990 0.416 0.282
0.996 0.017 0.784
0.002 0.334 0.010
0.020 0.409 0.774
0.023 0.987 0.267
0.081 0.668 0.463
0.097 0.514 0.611
0.099 0.812 0.103
0.105 0.647 0.962
0.106 0.073 0.094
0.109 0.247 0.591
0.145 0.418 0.273
0.149 0.861 0.768
0.236 0.954 0.606
0.249 0.513 0.114
0.250 0.660 0.602
0.251 0.222 0.111
0.281 0.147 0.764
0.288 0.997 0.262
0.295 0.419 0.769
0.295 0.706 0.264
0.391 0.798 0.105
0.398 0.233 0.605
0.422 0.003 0.913
0.425 0.584 0.764
0.435 0.412 0.277
0.436 0.852 0.761
0.437 0.141 0.266
0.439 0.985 0.413
0.509 0.255 0.098
0.509 0.672 0.593
0.528 0.354 0.877
0.533 0.562 0.375
0.554 0.530 0.021
0.562 0.340 0.520
0.571 0.311 0.700
0.572 0.547 0.199
0.578 0.001 0.766
0.582 0.843 0.265
0.660 0.814 0.611
0.667 0.962 0.107
0.684 0.673 0.091
0.691 0.072 0.598
0.750 0.134 0.200
0.759 0.542 0.690
0.770 0.566 0.510
0.776 0.123 0.019
0.776 0.536 0.872
0.789 0.093 0.377
0.846 0.583 0.273
0.853 0.861 0.270
0.853 0.994 0.777
0.854 0.708 0.773
0.950 0.663 0.111
0.950 0.812 0.615
0.968 0.114 0.521
0.974 0.340 0.373
0.980 0.322 0.190
0.984 0.134 0.699
0.995 0.100 0.875

---

ii.
Li6V3P8O29 PBE with a Hubbard U optimized geometry; space-group type = P1, No. 1
1.0
9.830 0.000 0.000
4.913 8.527 0.000
0.037 -0.021 13.923
Li V P O
12 6 16 58
Direct
0.000 0.000 0.000
0.000 0.135 0.497
0.091 0.812 0.377
0.093 0.229 0.877
0.224 0.681 0.878
0.230 0.226 0.378
0.414 0.132 0.000
0.414 0.586 0.497
0.545 0.588 0.000
0.642 0.683 0.379
0.644 0.811 0.876
0.653 0.240 0.819
0.317 0.473 0.686
0.320 0.338 0.188
0.749 0.907 0.682
0.752 0.476 0.188
0.885 0.342 0.687
0.885 0.907 0.189
0.087 0.228 0.095
0.088 0.820 0.595
0.230 0.675 0.096
0.232 0.225 0.593
0.407 0.587 0.279
0.409 0.137 0.778
0.548 0.589 0.780
0.550 0.993 0.279
0.639 0.675 0.596
0.640 0.819 0.094
0.652 0.242 0.565
0.653 0.241 0.062
0.985 0.574 0.810
0.987 0.573 0.310
0.998 0.996 0.780
0.999 0.140 0.279
0.066 0.824 0.098
0.068 0.240 0.599
0.075 0.911 0.505
0.076 0.152 0.369
0.078 0.905 0.869
0.081 0.147 0.005
0.107 0.909 0.687
0.109 0.118 0.187
0.133 0.419 0.269
0.137 0.573 0.768
0.221 0.385 0.612
0.221 0.527 0.113
0.237 0.243 0.097
0.237 0.657 0.595
0.315 0.150 0.502
0.318 0.666 0.369
0.318 0.669 0.005
0.319 0.150 0.868
0.320 0.697 0.187
0.321 0.118 0.687
0.398 0.575 0.781
0.405 0.160 0.278
0.418 0.427 0.261
0.431 0.282 0.764
0.502 0.395 0.606
0.507 0.232 0.101
0.527 0.913 0.183
0.529 0.696 0.688
0.559 0.900 0.365
0.560 0.665 0.506
0.561 0.904 0.003
0.564 0.665 0.870
0.572 0.571 0.278
0.574 0.988 0.778
0.644 0.395 0.101
0.647 0.099 0.610
0.652 0.242 0.954
0.655 0.654 0.098
0.656 0.246 0.458
0.659 0.820 0.599
0.691 0.423 0.764
0.701 0.003 0.260
0.798 0.525 0.611
0.799 0.807 0.112
0.803 0.241 0.607
0.807 0.095 0.101
0.832 0.581 0.270
0.834 0.015 0.764
0.835 0.720 0.770
0.839 0.289 0.260
0.940 0.387 0.112
0.941 0.807 0.614
0.983 0.991 0.279
0.984 0.160 0.781
0.986 0.573 0.417
0.988 0.421 0.770
0.991 0.571 0.917
0.994 0.721 0.270

---

ii comes first in stability; the runner-up is 6 meV/atom higher.